# 1
A plane-wave DFT calculation with meta-GGA r2SCAN was carried out for a geometry-optimized CaP2O6 structure.

Values from the calculation:
raw total energy	-9.509	eV per atom
ρ	2.87	g/cm³
crystal system	monoclinic

a = 6.9883 Å, b = 7.7226 Å, c = 16.9680 Å
α = 90.00°, β = 90.36°, γ = 90.00°
Last column: nearest neighbours and their distance in Å.
Space group P2_1/c (No. 14)
Inequivalent atoms, fractional coordinates:
1 Ca 0.0182 0.1365 0.3281 x4  6 O 2.34-2.47
2 Ca 0.4760 0.6135 0.1037 x4  7 O 2.39-2.55
3 P 0.1403 0.1985 0.5369 x4  4 O 1.48-1.59
4 P 0.2190 0.0096 0.1446 x4  4 O 1.48-1.59
5 P 0.2675 0.7138 0.9115 x4  4 O 1.49-1.58
6 P 0.3709 0.5010 0.3051 x4  4 O 1.48-1.59
7 O 0.0588 0.0674 0.1950 x4  1 P 1.48
8 O 0.0816 0.7399 0.9622 x4  2 P 1.58
9 O 0.1801 0.0539 0.5929 x4  1 P 1.49
10 O 0.1947 0.1775 0.4531 x4  1 P 1.48
11 O 0.2228 0.6745 0.6183 x4  1 P 1.49
12 O 0.2328 0.1247 0.0668 x4  2 P 1.59
13 O 0.2415 0.5926 0.8436 x4  1 P 1.49
14 O 0.2957 0.5929 0.3831 x4  2 P 1.58-1.59
15 O 0.3000 0.5814 0.2313 x4  1 P 1.48
16 O 0.3412 0.1879 0.8176 x4  1 P 1.49
17 O 0.4094 0.0543 0.1906 x4  2 P 1.58-1.59
18 O 0.4259 0.6625 0.9661 x4  1 P 1.49

=====

# 2
A plane-wave DFT calculation with meta-GGA r2SCAN was carried out for a geometry-optimized DyPaRu2 structure.

Values from the calculation:
raw total energy	-40.359	eV per atom
ρ	12.50	g/cm³
crystal system	cubic

a = 6.8143 Å, b = 6.8143 Å, c = 6.8143 Å
α = 90.00°, β = 90.00°, γ = 90.00°
Last column: nearest neighbours and their distance in Å.
Space group Fm-3m (No. 225)
Inequivalent atoms, fractional coordinates:
1 Dy 0.0000 0.0000 0.0000 x4  8 Ru 2.95
2 Pa 0.0000 0.0000 0.5000 x4  8 Ru 2.95
3 Ru 0.2500 0.2500 0.2500 x8  4 Dy 2.95, 4 Pa 2.95

=====

# 3
A plane-wave DFT calculation with meta-GGA r2SCAN was carried out for a geometry-optimized Rb2PO3F structure.

Values from the calculation:
raw total energy	-10.877	eV per atom
ρ	3.53	g/cm³
crystal system	orthorhombic

a = 7.8845 Å, b = 6.1306 Å, c = 10.4825 Å
α = 90.00°, β = 90.00°, γ = 90.00°
Last column: nearest neighbours and their distance in Å.
Space group Pnma (No. 62)
Inequivalent atoms, fractional coordinates:
1 Rb 0.0066 0.2500 0.2160 x4  6 O 2.83-2.98, 1 F 2.94
2 Rb 0.1715 0.2500 0.5780 x4  1 F 2.86, 7 O 3.08-3.13
3 P 0.2414 0.2500 0.9141 x4  3 O 1.50-1.51, 1 F 1.65
4 O 0.1890 0.7500 0.5481 x4  1 P 1.51
5 O 0.2290 0.5427 0.3405 x8  1 P 1.50
6 F 0.0338 0.2500 0.9361 x4  1 P 1.65

=====

# 4
A plane-wave DFT calculation with meta-GGA r2SCAN was carried out for a geometry-optimized BaAl2 structure.

Values from the calculation:
raw total energy	-13.506	eV per atom
ρ	4.09	g/cm³
crystal system	cubic

a = 8.5301 Å, b = 8.5301 Å, c = 8.5301 Å
α = 90.00°, β = 90.00°, γ = 90.00°
Last column: nearest neighbours and their distance in Å.
Space group Fd-3m (No. 227, origin choice 2)
Inequivalent atoms, fractional coordinates:
1 Ba 0.1250 0.1250 0.1250 x8  12 Al 3.54, 4 Ba 3.69
2 Al 0.0000 0.0000 0.5000 x16  6 Al 3.02

=====

# 5
A plane-wave DFT calculation with meta-GGA r2SCAN was carried out for a geometry-optimized Mg5In2 structure.

Values from the calculation:
raw total energy	-9.542	eV per atom
ρ	3.65	g/cm³
crystal system	monoclinic

a = 15.7602 Å, b = 6.2273 Å, c = 7.3355 Å
α = 90.00°, β = 117.55°, γ = 90.00°
Last column: nearest neighbours and their distance in Å.
Space group C2/m (No. 12)
Inequivalent atoms, fractional coordinates:
1 Mg 0.0000 0.2504 0.0000 x4  4 In 3.03-3.04, 8 Mg 3.11-3.23
2 Mg 0.0891 0.0000 0.4242 x4  4 In 2.94-3.19, 4 Mg 3.17-3.20
3 Mg 0.0888 0.5000 0.7519 x4  4 In 2.93-3.19, 4 Mg 3.17-3.19
4 Mg 0.2313 0.2500 0.2307 x8  4 In 2.94-3.08, 5 Mg 3.11-3.23
5 In 0.1218 0.0000 0.8528 x4  10 Mg 2.94-3.19
6 In 0.1225 0.5000 0.3912 x4  10 Mg 2.93-3.19

=====

# 6
A plane-wave DFT calculation with meta-GGA r2SCAN was carried out for a geometry-optimized TmGa2 structure.

Values from the calculation:
raw total energy	-20.016	eV per atom
ρ	8.85	g/cm³
crystal system	orthorhombic

a = 4.1657 Å, b = 6.8662 Å, c = 8.0940 Å
α = 90.00°, β = 90.00°, γ = 90.00°
Last column: nearest neighbours and their distance in Å.
Space group Imma (No. 74)
Inequivalent atoms, fractional coordinates:
1 Tm 0.0000 0.2500 0.0610 x4  10 Ga 3.04-3.07
2 Ga 0.0000 0.0514 0.6604 x8  4 Ga 2.54-2.73

=====

# 7
A plane-wave DFT calculation with meta-GGA r2SCAN was carried out for a geometry-optimized Rb2AgMoF6 structure.

Values from the calculation:
raw total energy	-11.916	eV per atom
ρ	4.68	g/cm³
crystal system	cubic

a = 8.8541 Å, b = 8.8541 Å, c = 8.8541 Å
α = 90.00°, β = 90.00°, γ = 90.00°
Last column: nearest neighbours and their distance in Å.
Space group Fm-3m (No. 225)
Inequivalent atoms, fractional coordinates:
1 Rb 0.2500 0.2500 0.2500 x8  12 F 3.13
2 Ag 0.0000 0.0000 0.0000 x4  6 F 2.37
3 Mo 0.0000 0.0000 0.5000 x4  6 F 2.05
4 F 0.0000 0.0000 0.2682 x24  1 Mo 2.05

=====

# 8
A plane-wave DFT calculation with meta-GGA r2SCAN was carried out for a geometry-optimized Yb4CrS7 structure.

Values from the calculation:
raw total energy	-20.197	eV per atom
ρ	6.49	g/cm³
crystal system	monoclinic

a = 12.2916 Å, b = 3.7344 Å, c = 11.2573 Å
α = 90.00°, β = 106.35°, γ = 90.00°
Last column: nearest neighbours and their distance in Å.
Space group Cm (No. 8)
Inequivalent atoms, fractional coordinates:
1 Yb 0.0000 0.0000 0.0000 x2  6 S 2.67-2.88
2 Yb 0.0662 0.5000 0.3439 x2  6 S 2.60-2.73
3 Yb 0.1932 0.5000 0.7837 x2  6 S 2.63-2.67
4 Yb 0.3840 0.0000 0.5865 x2  7 S 2.66-2.89
5 Cr 0.2955 0.5000 0.2016 x2  6 S 2.41-2.60
6 S 0.0332 0.0000 0.7231 x2  4 Yb 2.66-2.76
7 S 0.1554 0.5000 0.0026 x2  1 Cr 2.41, 3 Yb 2.63-2.67
8 S 0.1722 0.0000 0.2573 x2  2 Cr 2.59, 2 Yb 2.62
9 S 0.2249 0.5000 0.5613 x2  4 Yb 2.64-2.67
10 S 0.3551 0.0000 0.8328 x2  5 Yb 2.67-2.89
11 S 0.4119 0.0000 0.1318 x2  3 Yb 2.60-2.79, 2 Cr 2.60
12 S 0.4338 0.5000 0.4134 x2  1 Cr 2.51, 2 Yb 2.73

=====

# 9
A plane-wave DFT calculation with meta-GGA r2SCAN was carried out for a geometry-optimized Ho2Ga9Rh3 structure.

Values from the calculation:
raw total energy	-17.992	eV per atom
ρ	9.19	g/cm³
crystal system	orthorhombic

a = 12.9063 Å, b = 7.4928 Å, c = 9.4630 Å
α = 90.00°, β = 90.00°, γ = 90.00°
Last column: nearest neighbours and their distance in Å.
Space group Cmcm (No. 63)
Inequivalent atoms, fractional coordinates:
1 Ho 0.1643 0.1663 0.2500 x8  11 Ga 2.99-3.10
2 Ga 0.0000 0.1279 0.7500 x4  2 Rh 2.55, 6 Ga 2.71
3 Ga 0.0000 0.3344 0.0665 x8  3 Rh 2.58-2.61, 5 Ga 2.76-2.83
4 Ga 0.1042 0.4415 0.7500 x8  2 Rh 2.56, 6 Ga 2.69-2.76
5 Ga 0.1664 0.1681 0.5780 x16  3 Rh 2.55-2.60, 3 Ga 2.71-2.83
6 Rh 0.0000 0.0000 0.0000 x4  8 Ga 2.55-2.60
7 Rh 0.1715 0.5000 0.0000 x8  8 Ga 2.55-2.61

=====

# 10
A plane-wave DFT calculation with meta-GGA r2SCAN was carried out for a geometry-optimized Yb2Fe3Si5 structure.

Values from the calculation:
raw total energy	-16.583	eV per atom
ρ	7.74	g/cm³
crystal system	tetragonal

a = 10.2238 Å, b = 10.2238 Å, c = 5.3676 Å
α = 90.00°, β = 90.00°, γ = 90.00°
Last column: nearest neighbours and their distance in Å.
Space group P4/mnc (No. 128)
Inequivalent atoms, fractional coordinates:
1 Yb 0.0696 0.2369 0.0000 x8  9 Si 2.71-2.99, 2 Fe 3.02
2 Fe 0.0000 0.5000 0.2500 x4  4 Si 2.29
3 Fe 0.1236 0.8561 0.5000 x8  6 Si 2.32-2.36
4 Si 0.0000 0.0000 0.2634 x4  4 Fe 2.32, 1 Si 2.54
5 Si 0.0224 0.3197 0.5000 x8  4 Fe 2.29-2.36, 2 Si 2.45
6 Si 0.1778 0.6778 0.2500 x8  3 Fe 2.33-2.57, 2 Si 2.45

=====

# 11
A plane-wave DFT calculation with meta-GGA r2SCAN was carried out for a geometry-optimized ErCdRh2 structure.

Values from the calculation:
raw total energy	-26.227	eV per atom
ρ	11.49	g/cm³
crystal system	cubic

a = 6.5476 Å, b = 6.5476 Å, c = 6.5476 Å
α = 90.00°, β = 90.00°, γ = 90.00°
Last column: nearest neighbours and their distance in Å.
Space group Fm-3m (No. 225)
Inequivalent atoms, fractional coordinates:
1 Er 0.0000 0.0000 0.0000 x4  8 Rh 2.84
2 Cd 0.0000 0.0000 0.5000 x4  8 Rh 2.84
3 Rh 0.2500 0.2500 0.2500 x8  4 Cd 2.84, 4 Er 2.84

=====

# 12
A plane-wave DFT calculation with meta-GGA r2SCAN was carried out for a geometry-optimized LiZn2Ni structure.

Values from the calculation:
raw total energy	-8.281	eV per atom
ρ	6.70	g/cm³
crystal system	cubic

a = 5.7967 Å, b = 5.7967 Å, c = 5.7967 Å
α = 90.00°, β = 90.00°, γ = 90.00°
Last column: nearest neighbours and their distance in Å.
Space group Fm-3m (No. 225)
Inequivalent atoms, fractional coordinates:
1 Li 0.0000 0.0000 0.0000 x4  8 Zn 2.51
2 Zn 0.2500 0.2500 0.2500 x8  4 Li 2.51, 4 Ni 2.51
3 Ni 0.0000 0.0000 0.5000 x4  8 Zn 2.51